Record 1
First-principles (GGA-PBE) data for an optimized crystal structure of Te2MoW3Se2S4, as listed in the Materials Project.

Values from the calculation:
Energy of formation from the pure elements = -68.38 kJ/mol of atoms
Distance to the lowest polymorph of the same formula = 23 meV per atom

Unit cell a=3.3075 b=3.3075 c=37.6663 alpha=90.00 beta=90.00 gamma=120.00
Closest atoms and distances in Å follow each position.
Positions (direct):
Te (0.0000, 0.0000, 0.7086)  3 W 2.71
Te (0.0000, 0.0000, 0.6065)  3 W 2.71
Mo (0.0000, 0.0000, 0.4696)  6 Se 2.54
W (0.0000, 0.0000, 0.0939)  6 S 2.45
W (0.3333, 0.6667, 0.2818)  6 S 2.45
W (0.3333, 0.6667, 0.6576)  6 Te 2.71
Se (0.3333, 0.6667, 0.4250)  3 Mo 2.54
Se (0.3333, 0.6667, 0.5142)  3 Mo 2.54
S (0.0000, 0.0000, 0.3225)  3 W 2.45
S (0.3333, 0.6667, 0.0533)  3 W 2.45
S (0.3333, 0.6667, 0.1346)  3 W 2.45
S (0.0000, 0.0000, 0.2411)  3 W 2.45

Record 2
First-principles (GGA-PBE) data for an optimized crystal structure of Te2MoW3Se2S4, as listed in the Materials Project.

Values from the calculation:
Energy of formation from the pure elements = -68.56 kJ/mol of atoms
Distance to the lowest polymorph of the same formula = 21 meV per atom

Unit cell a=3.3075 b=3.3075 c=39.6687 alpha=90.00 beta=90.00 gamma=120.00
Closest atoms and distances in Å follow each position.
Positions (direct):
Te (0.0000, 0.0000, 0.3311)  3 W 2.71
Te (0.0000, 0.0000, 0.2339)  3 W 2.71
Mo (0.0000, 0.0000, 0.0925)  6 Se 2.54
W (0.0000, 0.0000, 0.4703)  6 S 2.45
W (0.3333, 0.6667, 0.2825)  6 Te 2.71
W (0.3333, 0.6667, 0.6576)  6 S 2.45
Se (0.3333, 0.6667, 0.0501)  3 Mo 2.54
Se (0.3333, 0.6667, 0.1349)  3 Mo 2.54
S (0.0000, 0.0000, 0.6962)  3 W 2.45
S (0.3333, 0.6667, 0.4317)  3 W 2.45
S (0.3333, 0.6667, 0.5089)  3 W 2.45
S (0.0000, 0.0000, 0.6190)  3 W 2.45

Record 3
First-principles (GGA-PBE) data for an optimized crystal structure of TeMoWSe2S, as listed in the Materials Project.

Values from the calculation:
Energy of formation from the pure elements = -60.15 kJ/mol of atoms
Distance to the lowest polymorph of the same formula = 1 meV per atom

Unit cell a=3.3419 b=3.3419 c=38.0430 alpha=90.00 beta=90.00 gamma=120.00
Closest atoms and distances in Å follow each position.
Positions (direct):
Te (0.3333, 0.6667, 0.0440)  3 Mo 2.70
Te (0.3333, 0.6667, 0.1438)  3 Mo 2.71
Mo (0.0000, 0.0000, 0.0939)  6 Te 2.70-2.71
Mo (0.3333, 0.6667, 0.2818)  6 Se 2.55
W (0.0000, 0.0000, 0.4697)  6 S 2.46
W (0.3333, 0.6667, 0.6575)  6 Se 2.55-2.56
Se (0.0000, 0.0000, 0.3256)  3 Mo 2.55
Se (0.0000, 0.0000, 0.7016)  3 W 2.55
Se (0.0000, 0.0000, 0.2380)  3 Mo 2.55
Se (0.0000, 0.0000, 0.6135)  3 W 2.56
S (0.3333, 0.6667, 0.4296)  3 W 2.46
S (0.3333, 0.6667, 0.5097)  3 W 2.46

Record 4
First-principles (GGA-PBE) data for an optimized crystal structure of Te2MoW3Se4S2, as listed in the Materials Project.

Values from the calculation:
Energy of formation from the pure elements = -57.40 kJ/mol of atoms
Distance to the lowest polymorph of the same formula = 0 meV per atom

Unit cell a=3.3400 b=3.3400 c=39.6693 alpha=90.00 beta=90.00 gamma=120.00
Closest atoms and distances in Å follow each position.
Positions (direct):
Te (0.3333, 0.6667, 0.0446)  3 Mo 2.70
Te (0.3333, 0.6667, 0.1402)  3 Mo 2.70
Mo (0.0000, 0.0000, 0.0924)  6 Te 2.70
W (0.0000, 0.0000, 0.4702)  6 Se 2.55
W (0.3333, 0.6667, 0.2827)  6 Se 2.55
W (0.3333, 0.6667, 0.6576)  6 S 2.46
Se (0.0000, 0.0000, 0.3249)  3 W 2.55
Se (0.3333, 0.6667, 0.4280)  3 W 2.55
Se (0.3333, 0.6667, 0.5125)  3 W 2.55
Se (0.0000, 0.0000, 0.2404)  3 W 2.55
S (0.0000, 0.0000, 0.6960)  3 W 2.46
S (0.0000, 0.0000, 0.6193)  3 W 2.46

Record 5
First-principles (GGA-PBE) data for an optimized crystal structure of TeMoWSe2S, as listed in the Materials Project.

Values from the calculation:
Energy of formation from the pure elements = -58.61 kJ/mol of atoms
Distance to the lowest polymorph of the same formula = 17 meV per atom

Unit cell a=3.3446 b=3.3446 c=38.0776 alpha=90.00 beta=90.00 gamma=120.00
Closest atoms and distances in Å follow each position.
Positions (direct):
Te (0.3333, 0.6667, 0.0441)  3 Mo 2.71
Te (0.3333, 0.6667, 0.1437)  3 Mo 2.71
Mo (0.0000, 0.0000, 0.0938)  6 Te 2.71
Mo (0.0000, 0.0000, 0.4697)  6 S 2.45
W (0.3333, 0.6667, 0.2819)  6 Se 2.56
W (0.3333, 0.6667, 0.6575)  6 Se 2.56
Se (0.0000, 0.0000, 0.3258)  3 W 2.56
Se (0.0000, 0.0000, 0.7015)  3 W 2.56
Se (0.0000, 0.0000, 0.2378)  3 W 2.56
Se (0.0000, 0.0000, 0.6135)  3 W 2.56
S (0.3333, 0.6667, 0.4299)  3 Mo 2.45
S (0.3333, 0.6667, 0.5094)  3 Mo 2.45

Record 6
First-principles (GGA-PBE) data for an optimized crystal structure of Te2Mo3WSe2S4, as listed in the Materials Project.

Values from the calculation:
Energy of formation from the pure elements = -74.52 kJ/mol of atoms
Distance to the lowest polymorph of the same formula = 1 meV per atom

Unit cell a=3.3055 b=3.3055 c=37.5676 alpha=90.00 beta=90.00 gamma=120.00
Closest atoms and distances in Å follow each position.
Positions (direct):
Te (0.0000, 0.0000, 0.7084)  3 Mo 2.70
Te (0.0000, 0.0000, 0.6067)  3 Mo 2.70
Mo (0.0000, 0.0000, 0.0939)  6 Se 2.54
Mo (0.3333, 0.6667, 0.2818)  6 S 2.44-2.45
Mo (0.3333, 0.6667, 0.6576)  6 Te 2.70
W (0.0000, 0.0000, 0.4696)  6 S 2.45
Se (0.3333, 0.6667, 0.0493)  3 Mo 2.54
Se (0.3333, 0.6667, 0.1386)  3 Mo 2.54
S (0.0000, 0.0000, 0.3225)  3 Mo 2.44
S (0.3333, 0.6667, 0.4289)  3 W 2.45
S (0.3333, 0.6667, 0.5104)  3 W 2.45
S (0.0000, 0.0000, 0.2411)  3 Mo 2.45

Record 7
First-principles (GGA-PBE) data for an optimized crystal structure of Te2Mo3WSe4S2, as listed in the Materials Project.

Values from the calculation:
Energy of formation from the pure elements = -59.50 kJ/mol of atoms
Distance to the lowest polymorph of the same formula = 36 meV per atom

Unit cell a=3.3462 b=3.3462 c=39.7862 alpha=90.00 beta=90.00 gamma=120.00
Closest atoms and distances in Å follow each position.
Positions (direct):
Te (0.6667, 0.3333, 0.4216)  3 W 2.71
Te (0.6667, 0.3333, 0.5176)  3 W 2.72
Mo (0.3333, 0.6667, 0.0939)  6 S 2.46
Mo (0.6667, 0.3333, 0.2806)  6 Se 2.55
Mo (0.6667, 0.3333, 0.6588)  6 Se 2.55
W (0.3333, 0.6667, 0.4696)  6 Te 2.71-2.72
Se (0.3333, 0.6667, 0.3226)  3 Mo 2.55
Se (0.3333, 0.6667, 0.7006)  3 Mo 2.55
Se (0.3333, 0.6667, 0.2388)  3 Mo 2.55
Se (0.3333, 0.6667, 0.6169)  3 Mo 2.55
S (0.6667, 0.3333, 0.0558)  3 Mo 2.46
S (0.6667, 0.3333, 0.1320)  3 Mo 2.46

Record 8
First-principles (GGA-PBE) data for an optimized crystal structure of TeMoWSe2S, as listed in the Materials Project.

Values from the calculation:
Energy of formation from the pure elements = -58.60 kJ/mol of atoms
Distance to the lowest polymorph of the same formula = 17 meV per atom

Unit cell a=3.3439 b=3.3439 c=38.0768 alpha=90.00 beta=90.00 gamma=120.00
Closest atoms and distances in Å follow each position.
Positions (direct):
Te (0.3333, 0.6667, 0.4198)  3 Mo 2.71
Te (0.3333, 0.6667, 0.5194)  3 Mo 2.71
Mo (0.0000, 0.0000, 0.4696)  6 Te 2.71
Mo (0.3333, 0.6667, 0.2818)  6 S 2.45
W (0.0000, 0.0000, 0.0939)  6 Se 2.56
W (0.3333, 0.6667, 0.6576)  6 Se 2.56
Se (0.0000, 0.0000, 0.7016)  3 W 2.56
Se (0.3333, 0.6667, 0.0499)  3 W 2.56
Se (0.3333, 0.6667, 0.1380)  3 W 2.56
Se (0.0000, 0.0000, 0.6136)  3 W 2.56
S (0.0000, 0.0000, 0.3216)  3 Mo 2.45
S (0.0000, 0.0000, 0.2420)  3 Mo 2.45

> Which of these has the lowest energy of formation from the pure elements?

Te2Mo3WSe2S4